No. 1
Computed, not measured: a relaxed structure of PmSnAu2 at the GGA-PBE level of DFT.

Cell: 7.157 7.157 7.157 Å, 90.00 90.00 90.00°
Space group Fm-3m (No. 225)
One atom of each set of equivalent atoms:
Pm1 0.000 0.000 0.000 [4 per cell]
Sn1 0.000 0.000 0.500 [4 per cell]
Au1 0.250 0.250 0.250 [8 per cell]

For the electronic total energy, the calculation gives -72.4 eV/cell.

=====

No. 2
Computed, not measured: a relaxed structure of K2PbS2O8 at the GGA-PBE level of DFT.

Cell: 6.8817 6.8817 21.2737 Å, 90.00 90.00 120.00°
Space group R-3m (No. 166, hexagonal axes)
One atom of each set of equivalent atoms:
K1 0.0000 0.0000 0.1897 [6 per cell]
Pb1 0.0000 0.0000 0.5000 [3 per cell]
S1 0.0000 0.0000 0.3731 [6 per cell]
O1 0.0000 0.0000 0.3050 [6 per cell]
O2 0.0974 0.5487 0.2653 [18 per cell]

The energy above the most stable polymorph in this dataset is 0.395 eV/atom.

=====

No. 3
Computed, not measured: a relaxed structure of Na4Ti3ZnSi3S3O24 at the GGA-PBE level of DFT.

Cell: 8.854 8.861 22.305 Å, 89.54 89.95 60.07°
Space group P1 (No. 1)
One atom of each set of equivalent atoms:
Na1 0.000 0.000 0.000 [1 per cell]
Na2 0.001 0.255 0.513 [1 per cell]
Na3 0.007 0.622 0.260 [1 per cell]
Na4 0.310 0.962 0.428 [1 per cell]
Na5 0.327 0.953 0.919 [1 per cell]
Na6 0.343 0.650 0.504 [1 per cell]
Na7 0.352 0.259 0.000 [1 per cell]
Na8 0.626 0.984 0.506 [1 per cell]
Na9 0.655 0.316 0.085 [1 per cell]
Na10 0.666 0.662 0.347 [1 per cell]
Na11 0.668 0.295 0.594 [1 per cell]
Na12 0.997 0.626 0.753 [1 per cell]
Ti1 0.000 0.611 0.103 [1 per cell]
Ti2 0.020 0.616 0.896 [1 per cell]
Ti3 0.296 0.991 0.776 [1 per cell]
Ti4 0.309 0.962 0.278 [1 per cell]
Ti5 0.650 0.312 0.238 [1 per cell]
Ti6 0.659 0.303 0.937 [1 per cell]
Ti7 0.666 0.284 0.736 [1 per cell]
Ti8 0.675 0.304 0.442 [1 per cell]
Ti9 0.972 0.634 0.606 [1 per cell]
Zn1 0.304 0.960 0.574 [1 per cell]
Zn2 0.318 0.958 0.066 [1 per cell]
Zn3 0.996 0.631 0.400 [1 per cell]
Si1 0.022 0.267 0.668 [1 per cell]
Si2 0.288 0.626 0.003 [1 per cell]
Si3 0.362 0.584 0.338 [1 per cell]
Si4 0.377 0.290 0.836 [1 per cell]
Si5 0.694 0.636 0.500 [1 per cell]
Si6 0.944 0.002 0.839 [1 per cell]
Si7 0.950 0.297 0.336 [1 per cell]
Si8 0.984 0.343 0.001 [1 per cell]
Si9 0.988 0.919 0.501 [1 per cell]
S1 0.025 0.964 0.171 [1 per cell]
S2 0.283 0.340 0.504 [1 per cell]
S3 0.325 0.667 0.672 [1 per cell]
S4 0.326 0.253 0.170 [1 per cell]
S5 0.614 0.964 0.671 [1 per cell]
S6 0.617 0.672 0.171 [1 per cell]
S7 0.647 0.017 0.334 [1 per cell]
S8 0.656 0.587 0.835 [1 per cell]
S9 0.706 0.912 0.004 [1 per cell]
O1 0.008 0.450 0.946 [1 per cell]
O2 0.012 0.458 0.665 [1 per cell]
O3 0.012 0.803 0.169 [1 per cell]
O4 0.038 0.793 0.445 [1 per cell]
O5 0.094 0.159 0.608 [1 per cell]
O6 0.096 0.994 0.115 [1 per cell]
O7 0.139 0.979 0.830 [1 per cell]
O8 0.141 0.119 0.326 [1 per cell]
O9 0.143 0.942 0.223 [1 per cell]
O10 0.146 0.960 0.508 [1 per cell]
O11 0.152 0.159 0.727 [1 per cell]
O12 0.160 0.658 0.945 [1 per cell]
O13 0.161 0.157 0.007 [1 per cell]
O14 0.163 0.431 0.167 [1 per cell]
O15 0.164 0.654 0.669 [1 per cell]
O16 0.174 0.610 0.336 [1 per cell]
O17 0.177 0.408 0.449 [1 per cell]
O18 0.181 0.462 0.842 [1 per cell]
O19 0.181 0.597 0.061 [1 per cell]
O20 0.200 0.452 0.557 [1 per cell]
O21 0.296 0.802 0.008 [1 per cell]
O22 0.305 0.161 0.222 [1 per cell]
O23 0.307 0.782 0.723 [1 per cell]
O24 0.317 0.160 0.512 [1 per cell]
O25 0.348 0.158 0.114 [1 per cell]
O26 0.356 0.730 0.614 [1 per cell]
O27 0.359 0.114 0.829 [1 per cell]
O28 0.362 0.773 0.326 [1 per cell]
O29 0.457 0.330 0.498 [1 per cell]
O30 0.470 0.322 0.779 [1 per cell]
O31 0.470 0.442 0.999 [1 per cell]
O32 0.470 0.467 0.279 [1 per cell]
O33 0.480 0.277 0.177 [1 per cell]
O34 0.480 0.490 0.680 [1 per cell]
O35 0.487 0.996 0.327 [1 per cell]
O36 0.490 0.269 0.898 [1 per cell]
O37 0.494 0.496 0.396 [1 per cell]
O38 0.498 0.758 0.830 [1 per cell]
O39 0.504 0.801 0.512 [1 per cell]
O40 0.512 0.751 0.117 [1 per cell]
O41 0.520 0.987 0.614 [1 per cell]
O42 0.524 0.943 0.723 [1 per cell]
O43 0.529 0.941 0.011 [1 per cell]
O44 0.533 0.774 0.226 [1 per cell]
O45 0.622 0.114 0.389 [1 per cell]
O46 0.630 0.502 0.891 [1 per cell]
O47 0.637 0.121 0.677 [1 per cell]
O48 0.640 0.491 0.176 [1 per cell]
O49 0.660 0.111 0.281 [1 per cell]
O50 0.683 0.452 0.499 [1 per cell]
O51 0.684 0.477 0.783 [1 per cell]
O52 0.696 0.087 0.002 [1 per cell]
O53 0.770 0.668 0.439 [1 per cell]
O54 0.786 0.812 0.950 [1 per cell]
O55 0.793 0.805 0.669 [1 per cell]
O56 0.794 0.654 0.167 [1 per cell]
O57 0.800 0.110 0.496 [1 per cell]
O58 0.800 0.842 0.334 [1 per cell]
O59 0.812 0.604 0.843 [1 per cell]
O60 0.814 0.317 0.998 [1 per cell]
O61 0.817 0.826 0.059 [1 per cell]
O62 0.822 0.309 0.280 [1 per cell]
O63 0.823 0.107 0.781 [1 per cell]
O64 0.828 0.292 0.681 [1 per cell]
O65 0.830 0.593 0.559 [1 per cell]
O66 0.849 0.118 0.180 [1 per cell]
O67 0.857 0.127 0.899 [1 per cell]
O68 0.868 0.261 0.398 [1 per cell]
O69 0.954 0.473 0.336 [1 per cell]
O70 0.954 0.815 0.845 [1 per cell]
O71 0.956 0.465 0.063 [1 per cell]
O72 0.957 0.820 0.561 [1 per cell]

For the electronic total energy, the calculation gives -782.0 eV/cell.

=====

No. 4
Computed, not measured: a relaxed structure of TbAlNi4 at the GGA-PBE level of DFT.

Cell: 5.0416 5.0416 3.8501 Å, 90.00 90.00 120.00°
Space group P-6m2 (No. 187)
One atom of each set of equivalent atoms:
Tb1 0.0000 0.0000 0.0000 [1 per cell]
Al1 0.3333 0.6667 0.0000 [1 per cell]
Ni1 0.5020 0.0040 0.5000 [3 per cell]
Ni2 0.6667 0.3333 0.0000 [1 per cell]

For the electronic total energy, the calculation gives -34.3 eV/cell.

=====

No. 5
Computed, not measured: a relaxed structure of BaIr2O6 at the GGA-PBE level of DFT.

Cell: 13.4932 13.4932 8.2150 Å, 90.00 90.00 120.00°
Space group R3 (No. 146, hexagonal axes)
One atom of each set of equivalent atoms:
Ba1 0.2101 0.7868 0.0000 [9 per cell]
Ir1 0.0558 0.4501 0.3224 [9 per cell]
Ir2 0.1175 0.7274 0.4452 [9 per cell]
O1 0.0163 0.3424 0.8399 [9 per cell]
O2 0.0273 0.6918 0.2392 [9 per cell]
O3 0.0857 0.8655 0.8005 [9 per cell]
O4 0.0923 0.5476 0.1222 [9 per cell]
O5 0.2023 0.4567 0.3146 [9 per cell]
O6 0.2102 0.4215 0.6447 [9 per cell]

For the electronic total energy, the calculation gives -544.9 eV/cell.

=====

No. 6
Computed, not measured: a relaxed structure of Eu2InPd2 at the GGA-PBE level of DFT.

Cell: 10.373 5.927 8.368 Å, 90.00 104.43 90.00°
Space group C2/c (No. 15)
One atom of each set of equivalent atoms:
Eu1 0.148 0.142 0.148 [8 per cell]
In1 0.000 0.354 0.750 [4 per cell]
Pd1 0.135 0.363 0.503 [8 per cell]

For the electronic total energy, the calculation gives -149.0 eV/cell.